First-principles (GGA-PBE) data for a relaxed K2RuO4 crystal, as listed in the Materials Project database.

Unit cell a=6.465 b=8.081 c=10.639 alpha=90.00 beta=90.00 gamma=90.00
Sites, in units of the cell vectors:
K 0.250 0.490 0.724
K 0.750 0.510 0.276
K 0.250 0.990 0.776
K 0.750 0.010 0.224
K 0.250 0.310 0.070
K 0.750 0.690 0.930
K 0.250 0.810 0.430
K 0.750 0.190 0.570
Ru 0.250 0.282 0.404
Ru 0.750 0.718 0.596
Ru 0.250 0.782 0.096
Ru 0.750 0.218 0.904
O 0.025 0.750 0.194
O 0.525 0.250 0.806
O 0.475 0.250 0.306
O 0.975 0.750 0.694
O 0.975 0.250 0.806
O 0.475 0.750 0.194
O 0.525 0.750 0.694
O 0.025 0.250 0.306
O 0.250 0.986 0.034
O 0.750 0.014 0.966
O 0.250 0.486 0.466
O 0.750 0.514 0.534
O 0.750 0.369 0.029
O 0.250 0.631 0.971
O 0.750 0.869 0.471
O 0.250 0.131 0.529

Summary:
ΔH_f (0 K): -12.040 eV per formula unit
space-group type: Pnma, No. 62

---

First-principles (GGA-PBE) data for a relaxed KRuO2 crystal, as listed in the Materials Project database.

Unit cell a=7.754 b=7.754 c=7.754 alpha=131.55 beta=131.55 gamma=70.94
Sites, in units of the cell vectors:
K 0.875 0.625 0.250
K 0.375 0.625 0.750
K 0.375 0.625 0.250
K 0.375 0.125 0.750
Ru 0.375 0.125 0.250
Ru 0.875 0.125 0.750
Ru 0.875 0.125 0.250
Ru 0.875 0.625 0.750
O 0.151 0.337 0.186
O 0.151 0.965 0.814
O 0.087 0.401 0.686
O 0.599 0.913 0.314
O 0.715 0.401 0.314
O 0.599 0.285 0.686
O 0.663 0.849 0.814
O 0.035 0.849 0.186

Summary:
ΔH_f (0 K): -4.572 eV per formula unit
size of the total moment: 0.4935 μB/atom
space-group type: I4_1/amd, No. 141

---

First-principles (GGA-PBE) data for a relaxed K2RuO5 crystal, as listed in the Materials Project database.

Unit cell a=6.719 b=8.047 c=10.603 alpha=90.00 beta=90.00 gamma=90.00
Sites, in units of the cell vectors:
K 0.378 0.609 0.458
K 0.878 0.891 0.542
K 0.622 0.109 0.042
K 0.122 0.391 0.958
K 0.025 0.753 0.194
K 0.525 0.747 0.806
K 0.975 0.253 0.306
K 0.475 0.247 0.694
Ru 0.415 0.063 0.381
Ru 0.915 0.437 0.619
Ru 0.585 0.563 0.119
Ru 0.085 0.937 0.881
O 0.990 0.531 0.468
O 0.490 0.969 0.532
O 0.010 0.031 0.032
O 0.510 0.469 0.968
O 0.204 0.922 0.378
O 0.704 0.578 0.622
O 0.796 0.422 0.122
O 0.296 0.078 0.878
O 0.655 0.633 0.275
O 0.155 0.867 0.725
O 0.345 0.133 0.225
O 0.845 0.367 0.775
O 0.339 0.521 0.178
O 0.839 0.979 0.822
O 0.661 0.021 0.322
O 0.161 0.479 0.678
O 0.635 0.759 0.050
O 0.135 0.741 0.950
O 0.365 0.259 0.450
O 0.865 0.241 0.550

Summary:
ΔH_f (0 K): -12.186 eV per formula unit
space-group type: P2_12_12_1, No. 19

---

First-principles (GGA-PBE) data for a relaxed KSO3 crystal, as listed in the Materials Project database.

Unit cell a=10.147 b=10.147 c=6.493 alpha=90.00 beta=90.00 gamma=120.00
Sites, in units of the cell vectors:
K 0.699 0.699 0.500
K 0.363 0.363 0.000
K 0.637 0.000 0.000
K 0.301 0.000 0.500
K 0.000 0.637 0.000
K 0.000 0.301 0.500
S 0.333 0.667 0.699
S 0.000 0.000 0.831
S 0.333 0.667 0.359
S 0.667 0.333 0.301
S 0.000 0.000 0.169
S 0.667 0.333 0.641
O 0.379 0.824 0.757
O 0.621 0.445 0.243
O 0.234 0.728 0.303
O 0.939 0.840 0.227
O 0.160 0.099 0.227
O 0.506 0.272 0.697
O 0.824 0.379 0.243
O 0.061 0.901 0.773
O 0.728 0.234 0.697
O 0.840 0.939 0.773
O 0.445 0.621 0.757
O 0.099 0.160 0.773
O 0.901 0.061 0.227
O 0.494 0.766 0.303
O 0.555 0.176 0.243
O 0.272 0.506 0.303
O 0.176 0.555 0.757
O 0.766 0.494 0.697

Summary:
ΔH_f (0 K): -10.401 eV per formula unit
space-group type: P321, No. 150

---

First-principles (GGA-PBE) data for a relaxed K2S5O16 crystal, as listed in the Materials Project database.

Unit cell a=9.453 b=11.142 c=14.862 alpha=90.00 beta=90.00 gamma=90.00
Sites, in units of the cell vectors:
K 0.240 0.011 0.048
K 0.740 0.489 0.952
K 0.760 0.011 0.452
K 0.260 0.489 0.548
K 0.760 0.989 0.952
K 0.260 0.511 0.048
K 0.240 0.989 0.548
K 0.740 0.511 0.452
S 0.000 0.169 0.250
S 0.500 0.331 0.750
S 0.000 0.831 0.750
S 0.500 0.669 0.250
S 0.218 0.348 0.295
S 0.718 0.152 0.705
S 0.782 0.348 0.205
S 0.282 0.152 0.795
S 0.932 0.751 0.071
S 0.432 0.749 0.929
S 0.068 0.751 0.429
S 0.568 0.749 0.571
S 0.068 0.249 0.929
S 0.568 0.251 0.071
S 0.932 0.249 0.571
S 0.432 0.251 0.429
S 0.718 0.848 0.205
S 0.218 0.652 0.795
S 0.282 0.848 0.295
S 0.782 0.652 0.705
O 0.602 0.607 0.303
O 0.102 0.893 0.697
O 0.398 0.607 0.197
O 0.898 0.893 0.803
O 0.398 0.393 0.697
O 0.898 0.107 0.303
O 0.602 0.393 0.803
O 0.102 0.107 0.197
O 0.708 0.874 0.299
O 0.208 0.626 0.701
O 0.292 0.874 0.201
O 0.792 0.626 0.799
O 0.292 0.126 0.701
O 0.792 0.374 0.299
O 0.708 0.126 0.799
O 0.208 0.374 0.201
O 0.702 0.940 0.138
O 0.202 0.560 0.862
O 0.298 0.940 0.362
O 0.798 0.560 0.638
O 0.298 0.060 0.862
O 0.798 0.440 0.138
O 0.972 0.344 0.905
O 0.702 0.060 0.638
O 0.028 0.656 0.095
O 0.528 0.844 0.905
O 0.972 0.656 0.405
O 0.472 0.844 0.595
O 0.076 0.258 0.320
O 0.576 0.242 0.680
O 0.924 0.258 0.180
O 0.424 0.242 0.820
O 0.924 0.742 0.680
O 0.424 0.758 0.320
O 0.076 0.742 0.820
O 0.576 0.758 0.180
O 0.344 0.265 0.312
O 0.844 0.235 0.688
O 0.656 0.265 0.188
O 0.156 0.235 0.812
O 0.656 0.735 0.688
O 0.156 0.765 0.312
O 0.344 0.735 0.812
O 0.844 0.765 0.188
O 0.488 0.371 0.440
O 0.988 0.129 0.560
O 0.512 0.371 0.060
O 0.012 0.129 0.940
O 0.512 0.629 0.560
O 0.012 0.871 0.440
O 0.488 0.629 0.940
O 0.988 0.871 0.060
O 0.311 0.221 0.484
O 0.811 0.279 0.516
O 0.689 0.221 0.016
O 0.189 0.279 0.984
O 0.689 0.779 0.516
O 0.189 0.721 0.484
O 0.311 0.779 0.984
O 0.811 0.721 0.016
O 0.528 0.156 0.405
O 0.028 0.344 0.595
O 0.472 0.156 0.095
O 0.202 0.440 0.362

Summary:
ΔH_f (0 K): -43.012 eV per formula unit
space-group type: Pbcn, No. 60

---

First-principles (GGA-PBE) data for a relaxed KSO3 crystal, as listed in the Materials Project database.

Unit cell a=9.922 b=9.922 c=6.445 alpha=90.00 beta=90.00 gamma=120.00
Sites, in units of the cell vectors:
K 0.620 0.000 0.000
K 0.000 0.620 0.000
K 0.380 0.380 0.000
K 0.295 0.000 0.500
K 0.000 0.295 0.500
K 0.705 0.705 0.500
S 0.000 0.000 0.826
S 0.000 0.000 0.174
S 0.333 0.667 0.740
S 0.667 0.333 0.260
S 0.333 0.667 0.396
S 0.667 0.333 0.604
O 0.157 0.124 0.767
O 0.876 0.033 0.767
O 0.967 0.843 0.767
O 0.033 0.876 0.233
O 0.843 0.967 0.233
O 0.124 0.157 0.233
O 0.205 0.512 0.800
O 0.488 0.693 0.800
O 0.307 0.795 0.800
O 0.693 0.488 0.200
O 0.795 0.307 0.200
O 0.512 0.205 0.200
O 0.172 0.620 0.343
O 0.380 0.552 0.343
O 0.448 0.828 0.343
O 0.552 0.380 0.657
O 0.828 0.448 0.657
O 0.620 0.172 0.657

Summary:
ΔH_f (0 K): -10.391 eV per formula unit
maximum piezoelectric response: 0.064 C/m²
space-group type: P321, No. 150

---

| no. | E (MP2020) (eV per atom) |
| --- | --- |
| 1 | -6.190 |
| 2 | -6.213 |
| 3 | -6.053 |
| 4 | -6.098 |
| 5 | -6.308 |
| 6 | -6.096 |